The following is a PBE with a Hubbard U calculation of an optimized crystal structure of Li2TiNi2O6, from the Materials Project.

Space group: C2/m, No. 12
DFT total energy (eV/atom): -5.98
Formation energy (eV/atom): -2.01

```
Li2TiNi2O6
1.0
6.485 -4.353 0.000
6.485 4.353 0.000
-1.449 0.000 5.723
Li Ti Ni O
6 3 6 18
direct
0.155 0.495 0.668
0.175 0.825 0.000
0.495 0.155 0.668
0.505 0.845 0.332
0.825 0.175 0.000
0.845 0.505 0.332
0.171 0.829 0.500
0.500 0.500 0.500
0.829 0.171 0.500
0.164 0.164 0.841
0.166 0.494 0.163
0.494 0.166 0.163
0.506 0.834 0.837
0.834 0.506 0.837
0.836 0.836 0.159
0.013 0.013 0.737
0.015 0.652 0.948
0.020 0.666 0.396
0.312 0.312 0.930
0.326 0.661 0.719
0.334 0.980 0.604
0.339 0.674 0.281
0.342 0.342 0.389
0.348 0.985 0.052
0.652 0.015 0.948
0.658 0.658 0.611
0.661 0.326 0.719
0.666 0.020 0.396
0.674 0.339 0.281
0.688 0.688 0.070
0.980 0.334 0.604
0.985 0.348 0.052
0.987 0.987 0.263
```

The following is a PBE with a Hubbard U calculation of an optimized crystal structure of CrNF4, from the Materials Project.

Space group: P4/nmm, No. 129
DFT total energy (eV/atom): -4.84
Formation energy (eV/atom): -1.20

```
CrNF4
1.0
7.633 0.000 0.000
0.000 7.633 0.000
0.000 0.000 6.282
Cr N F
4 4 16
direct
0.000 0.000 0.000
0.000 0.500 0.000
0.500 0.000 0.000
0.500 0.500 0.000
0.250 0.250 0.466
0.250 0.750 0.500
0.750 0.250 0.500
0.750 0.750 0.534
0.001 0.750 0.959
0.027 0.027 0.723
0.027 0.473 0.723
0.250 0.501 0.041
0.250 0.999 0.041
0.473 0.027 0.723
0.473 0.473 0.723
0.499 0.750 0.959
0.501 0.250 0.041
0.527 0.527 0.277
0.527 0.973 0.277
0.750 0.001 0.959
0.750 0.499 0.959
0.973 0.527 0.277
0.973 0.973 0.277
0.999 0.250 0.041
```

The following is a PBE with a Hubbard U calculation of an optimized crystal structure of AlNiW2O8, from the Materials Project.

Energy above the most stable polymorph in this dataset (eV per atom): 0.0000
Space group: P1, No. 1
DFT total energy (eV/atom): -7.09
Formation energy (eV/atom): -2.25

```
AlNiW2O8
1.0
5.060 0.000 0.000
-0.075 5.608 0.000
-0.142 -0.005 9.140
Al Ni W O
2 2 4 16
direct
0.000 0.000 0.000
0.496 0.303 0.500
0.497 0.299 0.999
0.999 0.010 0.499
0.003 0.492 0.250
0.502 0.828 0.247
0.509 0.830 0.748
0.996 0.492 0.749
0.137 0.267 0.877
0.155 0.777 0.861
0.158 0.772 0.358
0.175 0.292 0.384
0.315 0.029 0.106
0.320 0.543 0.136
0.327 0.539 0.634
0.347 0.056 0.613
0.639 0.050 0.381
0.672 0.532 0.361
0.678 0.023 0.889
0.680 0.537 0.859
0.821 0.293 0.611
0.827 0.770 0.631
0.832 0.772 0.128
0.856 0.267 0.118
```

The following is a PBE with a Hubbard U calculation of an optimized crystal structure of MgMn2Co4O12, from the Materials Project.

Energy above the most stable polymorph in this dataset (eV per atom): 0.0528
Space group: Cm, No. 8
DFT total energy (eV/atom): -6.14
Formation energy (eV/atom): -1.42

```
MgMn2Co4O12
1.0
2.500 -4.382 0.000
2.500 4.382 0.000
-1.176 0.000 9.936
Mg Mn Co O
1 2 4 12
direct
0.000 0.000 0.000
0.072 0.072 0.268
0.592 0.592 0.748
0.260 0.925 0.747
0.400 0.738 0.251
0.738 0.400 0.251
0.925 0.260 0.747
0.043 0.350 0.145
0.098 0.760 0.355
0.235 0.573 0.656
0.272 0.272 0.850
0.350 0.043 0.145
0.432 0.432 0.349
0.573 0.235 0.656
0.641 0.955 0.853
0.731 0.731 0.148
0.760 0.098 0.355
0.899 0.899 0.652
0.955 0.641 0.853
```

The following is a PBE with a Hubbard U calculation of an optimized crystal structure of Sm2FeP2O, from the Materials Project.

Space group: P4/mmm, No. 123
DFT total energy (eV/atom): -5.11
Formation energy (eV/atom): 0.01

```
Sm2FeP2O
1.0
3.328 0.000 0.000
0.000 3.328 0.000
0.000 0.000 14.567
Sm Fe P O
2 1 2 1
direct
0.000 0.000 0.143
0.000 0.000 0.857
0.000 0.000 0.500
0.000 0.000 0.344
0.000 0.000 0.656
0.000 0.000 0.000
```

The following is a PBE with a Hubbard U calculation of an optimized crystal structure of Mn3V2O10, from the Materials Project.

DFT total energy (eV/atom): -7.35
Formation energy (eV/atom): -2.02

```
Mn3V2O10
1.0
5.009 -0.023 0.224
-1.232 5.429 -0.291
1.155 -0.525 14.265
O Mn V
20 6 4
direct
0.137 0.726 0.523
0.589 0.821 0.608
0.807 0.061 0.272
0.089 0.321 0.108
0.628 0.628 0.428
0.192 0.939 0.728
0.615 0.008 0.840
0.411 0.179 0.392
0.307 0.561 0.772
0.872 0.871 0.072
0.863 0.274 0.477
0.637 0.226 0.023
0.385 0.992 0.160
0.128 0.128 0.928
0.363 0.774 0.977
0.372 0.371 0.572
0.885 0.492 0.660
0.911 0.679 0.892
0.115 0.508 0.340
0.692 0.439 0.228
0.245 0.435 0.450
0.745 0.935 0.950
0.500 0.000 0.500
0.255 0.065 0.050
0.000 0.500 0.000
0.755 0.565 0.550
0.261 0.880 0.838
0.239 0.620 0.662
0.739 0.120 0.162
0.761 0.380 0.338
```

The following is a PBE with a Hubbard U calculation of an optimized crystal structure of Mn4O7F, from the Materials Project.

Energy above the most stable polymorph in this dataset (eV per atom): 0.0007
Space group: C2, No. 5
DFT total energy (eV/atom): -6.99
Formation energy (eV/atom): -1.89

```
Mn4O7F
1.0
4.983 -5.470 0.000
4.983 5.470 0.000
-0.013 0.000 4.461
Mn O F
8 14 2
direct
0.000 0.000 0.000
0.117 0.395 0.977
0.251 0.749 0.500
0.344 0.145 0.486
0.504 0.496 0.000
0.605 0.883 0.023
0.753 0.247 0.500
0.855 0.656 0.514
0.036 0.793 0.268
0.073 0.600 0.725
0.146 0.183 0.224
0.207 0.964 0.732
0.289 0.539 0.228
0.324 0.351 0.759
0.400 0.927 0.275
0.461 0.711 0.772
0.535 0.288 0.269
0.649 0.676 0.241
0.712 0.465 0.731
0.787 0.038 0.235
0.817 0.854 0.776
0.962 0.213 0.765
0.560 0.088 0.760
0.912 0.440 0.240
```

The following is a PBE with a Hubbard U calculation of an optimized crystal structure of MnP2H4O5, from the Materials Project.

Space group: P2_1/c, No. 14
DFT total energy (eV/atom): -5.68
Formation energy (eV/atom): -1.25

```
MnP2H4O5
1.0
8.082 0.000 0.000
0.000 7.377 0.000
-2.516 0.000 9.758
Mn P H O
4 8 16 20
direct
0.206 0.032 0.094
0.206 0.468 0.594
0.794 0.532 0.406
0.794 0.968 0.906
0.037 0.173 0.341
0.037 0.327 0.841
0.463 0.111 0.694
0.463 0.389 0.194
0.537 0.611 0.806
0.537 0.889 0.306
0.963 0.673 0.159
0.963 0.827 0.659
0.128 0.596 0.191
0.128 0.904 0.691
0.145 0.047 0.428
0.145 0.453 0.928
0.392 0.551 0.127
0.392 0.949 0.627
0.403 0.116 0.815
0.403 0.384 0.315
0.597 0.616 0.685
0.597 0.884 0.185
0.608 0.051 0.373
0.608 0.449 0.873
0.855 0.547 0.072
0.855 0.953 0.572
0.872 0.096 0.309
0.872 0.404 0.809
0.028 0.151 0.922
0.028 0.349 0.422
0.098 0.198 0.210
0.098 0.302 0.710
0.281 0.618 0.488
0.281 0.882 0.988
0.341 0.593 0.767
0.341 0.907 0.267
0.393 0.229 0.100
0.393 0.271 0.600
0.607 0.729 0.400
0.607 0.771 0.900
0.659 0.093 0.733
0.659 0.407 0.233
0.719 0.118 0.012
0.719 0.382 0.512
0.902 0.698 0.290
0.902 0.802 0.790
0.972 0.651 0.578
0.972 0.849 0.078
```

The following is a PBE with a Hubbard U calculation of an optimized crystal structure of VPO5, from the Materials Project.

Energy above the most stable polymorph in this dataset (eV per atom): 0.0180
Space group: C2/m, No. 12
DFT total energy (eV/atom): -7.35
Formation energy (eV/atom): -2.48

```
VPO5
1.0
4.663 -3.129 0.000
4.663 3.129 0.000
-1.427 0.000 6.101
V P O
2 2 10
direct
0.188 0.188 0.224
0.812 0.812 0.776
0.248 0.248 0.750
0.752 0.752 0.250
0.137 0.137 0.902
0.151 0.548 0.792
0.154 0.154 0.512
0.363 0.363 0.274
0.452 0.849 0.208
0.548 0.151 0.792
0.637 0.637 0.726
0.846 0.846 0.488
0.849 0.452 0.208
0.863 0.863 0.098
```

The following is a PBE with a Hubbard U calculation of an optimized crystal structure of TmMnO3, from the Materials Project.

Space group: P6_3cm, No. 185
DFT total energy (eV/atom): -8.05
Formation energy (eV/atom): -3.10

```
TmMnO3
1.0
6.144 0.000 0.000
-3.072 5.321 0.000
0.000 0.000 11.490
Tm Mn O
6 6 18
direct
0.000 0.000 0.000
0.000 0.000 0.500
0.333 0.667 0.456
0.333 0.667 0.956
0.667 0.333 0.456
0.667 0.333 0.956
0.000 0.333 0.225
0.000 0.667 0.725
0.333 0.000 0.225
0.333 0.333 0.725
0.667 0.000 0.725
0.667 0.667 0.225
0.000 0.000 0.199
0.000 0.000 0.699
0.000 0.306 0.391
0.000 0.360 0.060
0.000 0.640 0.560
0.000 0.694 0.891
0.306 0.000 0.391
0.306 0.306 0.891
0.333 0.667 0.247
0.333 0.667 0.747
0.360 0.000 0.060
0.360 0.360 0.560
0.640 0.000 0.560
0.640 0.640 0.060
0.667 0.333 0.247
0.667 0.333 0.747
0.694 0.000 0.891
0.694 0.694 0.391
```

The following is a PBE with a Hubbard U calculation of an optimized crystal structure of MnWO4, from the Materials Project.

Space group: P2/c, No. 13
DFT total energy (eV/atom): -7.73
Formation energy (eV/atom): -2.22

```
MnWO4
1.0
4.885 0.000 0.000
0.000 5.853 0.000
-0.146 0.000 5.116
Mn W O
2 2 8
direct
0.000 0.174 0.250
0.000 0.826 0.750
0.500 0.328 0.750
0.500 0.672 0.250
0.247 0.129 0.607
0.247 0.871 0.107
0.290 0.395 0.061
0.290 0.605 0.561
0.710 0.395 0.439
0.710 0.605 0.939
0.753 0.129 0.893
0.753 0.871 0.393
```

The following is a PBE with a Hubbard U calculation of an optimized crystal structure of Li3VO3F, from the Materials Project.

Energy above the most stable polymorph in this dataset (eV per atom): 0.0355
Space group: P1, No. 1
DFT total energy (eV/atom): -6.00
Formation energy (eV/atom): -2.58

```
Li3VO3F
1.0
7.201 0.000 0.000
-2.401 6.802 0.000
-2.348 -3.431 5.914
Li V O F
12 4 12 4
direct
0.000 0.000 0.000
0.001 0.726 0.252
0.232 0.489 0.242
0.236 0.730 0.008
0.253 0.991 0.746
0.487 0.968 0.479
0.495 0.227 0.242
0.742 0.990 0.251
0.748 0.750 0.496
0.768 0.245 0.018
0.984 0.244 0.753
0.986 0.483 0.489
0.210 0.227 0.489
0.471 0.486 0.007
0.471 0.743 0.748
0.734 0.463 0.748
0.010 0.237 0.262
0.019 0.006 0.502
0.247 0.487 0.750
0.260 0.735 0.512
0.268 0.251 0.995
0.482 0.484 0.524
0.485 0.251 0.746
0.501 0.728 0.234
0.501 0.967 0.982
0.714 0.705 0.970
0.734 0.260 0.517
0.970 0.486 0.986
0.238 0.992 0.246
0.737 0.492 0.252
0.738 0.977 0.745
0.979 0.737 0.752
```

Q: Which of these has the lowest formation energy?
A: TmMnO3

Q: formation energy of number 3 (AlNiW2O8)?
A: -2.25 eV/atom

Copy entry 12 word for word.
The following is a PBE with a Hubbard U calculation of an optimized crystal structure of Li3VO3F, from the Materials Project.

Energy above the most stable polymorph in this dataset (eV per atom): 0.0355
Space group: P1, No. 1
DFT total energy (eV/atom): -6.00
Formation energy (eV/atom): -2.58

```
Li3VO3F
1.0
7.201 0.000 0.000
-2.401 6.802 0.000
-2.348 -3.431 5.914
Li V O F
12 4 12 4
direct
0.000 0.000 0.000
0.001 0.726 0.252
0.232 0.489 0.242
0.236 0.730 0.008
0.253 0.991 0.746
0.487 0.968 0.479
0.495 0.227 0.242
0.742 0.990 0.251
0.748 0.750 0.496
0.768 0.245 0.018
0.984 0.244 0.753
0.986 0.483 0.489
0.210 0.227 0.489
0.471 0.486 0.007
0.471 0.743 0.748
0.734 0.463 0.748
0.010 0.237 0.262
0.019 0.006 0.502
0.247 0.487 0.750
0.260 0.735 0.512
0.268 0.251 0.995
0.482 0.484 0.524
0.485 0.251 0.746
0.501 0.728 0.234
0.501 0.967 0.982
0.714 0.705 0.970
0.734 0.260 0.517
0.970 0.486 0.986
0.238 0.992 0.246
0.737 0.492 0.252
0.738 0.977 0.745
0.979 0.737 0.752
```